No. 1
LuInNi4: relaxed, PBE.

Cell lengths 4.9489, 4.9489, 4.9489 Å; angles 60.00, 60.00, 60.00 degrees
With the nearest neighbours (Å) after each atom.
Fractional positions:
Lu 0.2500 0.2500 0.2500  12 Ni 2.90, 4 In 3.03
In 0.0000 0.0000 0.0000  12 Ni 2.90, 4 Lu 3.03
Ni 0.6256 0.6256 0.6256  6 Ni 2.46-2.49
Ni 0.6256 0.6256 0.1232  6 Ni 2.46-2.49
Ni 0.6256 0.1232 0.6256  6 Ni 2.46-2.49
Ni 0.1232 0.6256 0.6256  6 Ni 2.46-2.49

Calculated volume, Å³/atom: 14.3

No. 2
Na7Ti2Si5Ge2PO24: relaxed, PBE.

Cell lengths 8.8467, 8.8374, 21.7924 Å; angles 90.06, 89.72, 120.05 degrees
With the nearest neighbours (Å) after each atom.
Fractional positions:
Na 0.6317 0.0007 0.2499  6 O 2.35-2.61
Na 0.3694 0.3702 0.2502  6 O 2.35-2.62
Na 0.0002 0.6288 0.2502  6 O 2.37-2.61
Na 0.6289 0.6302 0.7495  6 O 2.36-2.59
Na 0.0010 0.3693 0.7495  6 O 2.36-2.60
Na 0.3706 0.0006 0.7496  6 O 2.35-2.58
Na 0.2972 0.3347 0.5834  6 O 2.36-2.61
Na 0.0363 0.7025 0.5839  6 O 2.35-2.62
Na 0.6675 0.9638 0.5840  6 O 2.36-2.62
Na 0.2989 0.9675 0.0828  6 O 2.39-2.62
Na 0.0344 0.3359 0.0850  5 O 2.35-2.55
Na 0.9670 0.6673 0.9166  6 O 2.33-2.61
Na 0.3343 0.2997 0.9168  6 O 2.35-2.63
Na 0.3315 0.0327 0.4168  5 O 2.34-2.59
Na 0.6984 0.6653 0.4175  6 O 2.37-2.60
Na 0.9987 0.0071 0.4990  6 O 2.41-2.51
Na 0.9850 0.9930 0.9999  6 O 2.43-2.52
Na 0.6674 0.3241 0.8342  6 O 2.41-2.57
Na 0.6749 0.3314 0.3349  6 O 2.40-2.54
Na 0.3420 0.6662 0.1656  6 O 2.40-2.53
Na 0.3344 0.6656 0.6665  6 O 2.47-2.50
Ti 0.6680 0.3404 0.1884  6 O 1.88-2.05
Ti 0.6667 0.3290 0.9814  5 O 1.90-1.99
Ti 0.3268 0.6591 0.0184  5 O 1.88-2.00
Ti 0.3361 0.6735 0.5202  6 O 1.90-2.03
Ti 0.3298 0.6713 0.3132  6 O 1.88-2.03
Ti 0.3294 0.6707 0.8118  6 O 1.86-2.03
Si 0.2832 0.0008 0.2508  4 O 1.63-1.65
Si 0.7175 0.7191 0.2500  4 O 1.63-1.65
Si 0.0003 0.2812 0.2500  4 O 1.63-1.65
Si 0.2878 0.2841 0.7486  4 O 1.64-1.65
Si 0.9956 0.7148 0.7491  4 O 1.64-1.65
Si 0.7184 0.0030 0.7492  4 O 1.63-1.65
Si 0.9516 0.3301 0.5850  4 O 1.63-1.65
Si 0.3823 0.0531 0.5840  4 O 1.64-1.65
Si 0.6694 0.6183 0.5841  4 O 1.64-1.65
Si 0.9530 0.6302 0.0837  4 O 1.63-1.66
Si 0.3751 0.3346 0.0844  4 O 1.63-1.66
Si 0.0366 0.3661 0.9147  4 O 1.62-1.66
Si 0.3333 0.9596 0.9159  4 O 1.63-1.65
Si 0.6328 0.9670 0.4165  4 O 1.64-1.66
Si 0.0360 0.6622 0.4171  4 O 1.64-1.66
Ge 0.9946 0.9973 0.3527  5 O 1.83-1.99
Ge 0.0021 0.0045 0.8517  6 O 1.85-2.06
Ge 0.9998 0.0002 0.6461  6 O 1.87-1.98
Ge 0.0016 0.9974 0.1475  5 O 1.84-1.96
Ge 0.6676 0.3334 0.6874  6 O 1.88-1.97
Ge 0.6767 0.3317 0.4821  5 O 1.82-1.92
P 0.6683 0.0408 0.0847  4 O 1.53-1.56
P 0.6259 0.6737 0.9153  4 O 1.54-1.56
P 0.3287 0.3730 0.4163  4 O 1.54-1.56
O 0.2001 0.0415 0.3116  1 Si 1.64
O 0.8395 0.7932 0.3114  1 Si 1.64
O 0.9563 0.1515 0.3087  1 Si 1.63
O 0.2071 0.1602 0.8097  1 Si 1.64
O 0.9567 0.7977 0.8105  1 Si 1.64
O 0.8478 0.0461 0.8079  1 Si 1.63
O 0.7974 0.9577 0.6879  1 Si 1.64
O 0.1608 0.2019 0.6886  1 Si 1.64
O 0.0411 0.8404 0.6886  1 Si 1.64
O 0.8030 0.8485 0.1912  1 Si 1.63
O 0.0422 0.2019 0.1878  1 Si 1.65
O 0.1612 0.9572 0.1897  1 Si 1.64
O 0.8715 0.3765 0.6456  1 Si 1.64
O 0.5073 0.1318 0.6444  1 Si 1.64
O 0.6263 0.4934 0.6447  1 Si 1.64
O 0.8679 0.5000 0.1432  1 Si 1.64
O 0.6347 0.1234 0.1424  1 P 1.55
O 0.4960 0.3590 0.1443  1 Si 1.64
O 0.4640 0.2957 0.0247  1 Si 1.64
O 0.8346 0.5327 0.0235  1 Si 1.63
O 0.7013 0.1643 0.0288  1 P 1.56
O 0.4653 0.1764 0.5228  1 Si 1.64
O 0.7083 0.5338 0.5230  1 Si 1.64
O 0.8228 0.2842 0.5261  1 Si 1.63, 1 Ge 1.82
O 0.5327 0.6967 0.9721  1 P 1.55
O 0.1650 0.4595 0.9749  1 Si 1.66
O 0.2978 0.8320 0.9756  1 Si 1.64
O 0.5388 0.8357 0.4761  1 Si 1.66
O 0.3044 0.4612 0.4748  1 P 1.56
O 0.1665 0.7001 0.4760  1 Si 1.65
O 0.1300 0.6346 0.3565  1 Si 1.64
O 0.5025 0.8710 0.3576  1 Si 1.65
O 0.3623 0.4911 0.3594  1 P 1.55
O 0.1334 0.4978 0.8563  1 Si 1.64
O 0.3625 0.8663 0.8555  1 Si 1.64
O 0.5100 0.6378 0.8578  1 P 1.55
O 0.0266 0.8442 0.4115  1 Si 1.66
O 0.8199 0.9723 0.4109  1 Si 1.64
O 0.1669 0.1888 0.4121  1 P 1.54
O 0.0302 0.1791 0.9100  1 Si 1.63
O 0.1520 0.9694 0.9105  1 Si 1.65
O 0.8100 0.8347 0.9112  1 P 1.54
O 0.9720 0.1550 0.5896  1 Si 1.65
O 0.1856 0.0297 0.5888  1 Si 1.65
O 0.8450 0.8142 0.5886  1 Si 1.65
O 0.9772 0.8250 0.0891  1 Si 1.63
O 0.8390 0.0333 0.0885  1 P 1.55
O 0.1799 0.1570 0.0890  1 Si 1.66
O 0.6962 0.1774 0.7442  1 Si 1.65
O 0.4831 0.3034 0.7438  1 Si 1.65
O 0.8216 0.5185 0.7448  1 Si 1.65
O 0.6957 0.5229 0.2447  1 Si 1.65
O 0.8274 0.3035 0.2446  1 Si 1.64
O 0.4795 0.1710 0.2458  1 Si 1.63
O 0.6422 0.5068 0.9215  1 P 1.56
O 0.8512 0.3608 0.9221  1 Si 1.62
O 0.5017 0.1553 0.9218  1 Si 1.63
O 0.6340 0.1522 0.4233  1 Si 1.64
O 0.4967 0.3587 0.4208  1 P 1.56
O 0.8397 0.4919 0.4229  1 Si 1.64
O 0.3516 0.5057 0.0785  1 Si 1.63
O 0.1481 0.6474 0.0776  1 Si 1.66
O 0.5027 0.8629 0.0771  1 P 1.53
O 0.3603 0.8565 0.5777  1 Si 1.65
O 0.4957 0.6398 0.5780  1 Si 1.65
O 0.1467 0.5035 0.5776  1 Si 1.64
O 0.3051 0.8267 0.2553  1 Si 1.65
O 0.5214 0.6925 0.2562  1 Si 1.63
O 0.1741 0.4766 0.2555  1 Si 1.64
O 0.3107 0.4792 0.7550  1 Si 1.64
O 0.1697 0.6928 0.7541  1 Si 1.65
O 0.5233 0.8292 0.7550  1 Si 1.64

Calculated volume, Å³/atom: 12.0
Magnetic moment, μB per cell: 0.00

No. 3
Na3SbH30S3N10: relaxed, PBE.

Cell lengths 6.1610, 10.0005, 34.0488 Å; angles 88.66, 90.00, 90.00 degrees
With the nearest neighbours (Å) after each atom.
Fractional positions:
Na 0.4990 0.0604 0.4121  2 H 2.45-2.74, 3 N 2.46-2.49
Na 0.0010 0.0604 0.9121  2 H 2.45-2.74, 3 N 2.46-2.49
Na 0.5502 0.4097 0.3227  3 N 2.47-2.50, 2 H 2.63-2.67
Na 0.9498 0.4097 0.8227  3 N 2.47-2.50, 2 H 2.63-2.67
Na 0.4799 0.4546 0.4469  2 N 2.43-2.49, 1 H 2.59
Na 0.0201 0.4546 0.9469  2 N 2.43-2.49, 1 H 2.59
Na 0.9799 0.5454 0.0531  2 N 2.43-2.49, 1 H 2.59
Na 0.5201 0.5454 0.5531  2 N 2.43-2.49, 1 H 2.59
Na 0.0502 0.5903 0.1773  3 N 2.47-2.50, 2 H 2.63-2.67
Na 0.4498 0.5903 0.6773  3 N 2.47-2.50, 2 H 2.63-2.67
Na 0.9990 0.9396 0.0879  2 H 2.45-2.74, 3 N 2.46-2.49
Na 0.5010 0.9396 0.5879  2 H 2.45-2.74, 3 N 2.46-2.49
Sb 0.9653 0.3126 0.3980  3 S 2.44-2.45
Sb 0.5347 0.3126 0.8980  3 S 2.44-2.45
Sb 0.4653 0.6874 0.1020  3 S 2.44-2.45
Sb 0.0347 0.6874 0.6020  3 S 2.44-2.45
H 0.7383 0.0405 0.0129  1 N 1.03
H 0.1252 0.0177 0.3573  1 N 1.03
H 0.7892 0.0318 0.2395  1 N 1.02
H 0.7617 0.0405 0.5129  1 N 1.03
H 0.8356 0.0595 0.1617  1 N 1.02
H 0.3748 0.0177 0.8573  1 N 1.03
H 0.3277 0.0669 0.1031  1 N 1.03
H 0.7108 0.0318 0.7395  1 N 1.02
H 0.6644 0.0595 0.6617  1 N 1.02
H 0.2947 0.0874 0.1840  1 N 1.03
H 0.1136 0.0911 0.4674  1 N 1.03
H 0.3624 0.1226 0.0581  1 N 1.02
H 0.1723 0.0669 0.6031  1 N 1.03
H 0.6904 0.1341 0.1277  1 N 1.02
H 0.3566 0.1058 0.4867  1 N 1.02
H 0.2053 0.0874 0.6840  1 N 1.03
H 0.3864 0.0911 0.9674  1 N 1.03
H 0.1376 0.1226 0.5581  1 N 1.02
H 0.6194 0.1529 0.2290  1 N 1.03
H 0.8096 0.1341 0.6277  1 N 1.02
H 0.1434 0.1058 0.9867  1 N 1.02
H 0.7917 0.1654 0.2659  1 N 1.03
H 0.1112 0.1779 0.2061  1 N 1.03
H 0.3969 0.1702 0.3091  1 N 1.03
H 0.8806 0.1529 0.7290  1 N 1.03
H 0.7083 0.1654 0.7659  1 N 1.03
H 0.2726 0.2245 0.0916  1 N 1.03
H 0.3888 0.1779 0.7061  1 N 1.03
H 0.2924 0.2167 0.2664  1 N 1.03
H 0.1031 0.1702 0.8091  1 N 1.03
H 0.1468 0.2272 0.3072  1 N 1.03
H 0.2945 0.2508 0.1773  1 N 1.03
H 0.2274 0.2245 0.5916  1 N 1.03
H 0.8581 0.2535 0.0725  1 N 1.02
H 0.2076 0.2167 0.7664  1 N 1.03
H 0.3532 0.2272 0.8072  1 N 1.03
H 0.2055 0.2508 0.6773  1 N 1.03
H 0.6419 0.2535 0.5725  1 N 1.02
H 0.7351 0.3076 0.0324  1 N 1.03
H 0.2015 0.3268 0.0239  1 N 1.02
H 0.7839 0.3149 0.1882  1 N 1.03
H 0.7649 0.3076 0.5324  1 N 1.03
H 0.6453 0.3545 0.0758  1 N 1.03
H 0.2985 0.3268 0.5239  1 N 1.02
H 0.8996 0.3651 0.1469  1 N 1.03
H 0.7161 0.3149 0.6882  1 N 1.03
H 0.1117 0.3441 0.4898  1 N 1.03
H 0.8547 0.3545 0.5758  1 N 1.03
H 0.6004 0.3651 0.6469  1 N 1.03
H 0.6515 0.4145 0.1568  1 N 1.03
H 0.3883 0.3441 0.9898  1 N 1.03
H 0.8519 0.4227 0.2489  1 N 1.02
H 0.3315 0.4681 0.0187  1 N 1.03
H 0.3428 0.4293 0.2323  1 N 1.02
H 0.8485 0.4145 0.6568  1 N 1.03
H 0.9748 0.4504 0.2905  1 N 1.02
H 0.6481 0.4227 0.7489  1 N 1.02
H 0.1685 0.4681 0.5187  1 N 1.03
H 0.1572 0.4293 0.7323  1 N 1.02
H 0.5252 0.4504 0.7905  1 N 1.02
H 0.4748 0.5496 0.2095  1 N 1.02
H 0.8428 0.5707 0.2677  1 N 1.02
H 0.8315 0.5319 0.4813  1 N 1.03
H 0.3519 0.5773 0.2511  1 N 1.02
H 0.0252 0.5496 0.7095  1 N 1.02
H 0.1515 0.5855 0.3432  1 N 1.03
H 0.6572 0.5707 0.7677  1 N 1.02
H 0.6685 0.5319 0.9813  1 N 1.03
H 0.1481 0.5773 0.7511  1 N 1.02
H 0.6117 0.6559 0.0102  1 N 1.03
H 0.3485 0.5855 0.8432  1 N 1.03
H 0.3996 0.6349 0.3531  1 N 1.03
H 0.1453 0.6455 0.4242  1 N 1.03
H 0.8883 0.6559 0.5102  1 N 1.03
H 0.2839 0.6851 0.3118  1 N 1.03
H 0.1004 0.6349 0.8531  1 N 1.03
H 0.7015 0.6732 0.4761  1 N 1.02
H 0.3547 0.6455 0.9242  1 N 1.03
H 0.2351 0.6924 0.4676  1 N 1.03
H 0.2161 0.6851 0.8118  1 N 1.03
H 0.7985 0.6732 0.9761  1 N 1.02
H 0.2649 0.6924 0.9676  1 N 1.03
H 0.3581 0.7465 0.4275  1 N 1.02
H 0.7945 0.7492 0.3227  1 N 1.03
H 0.6468 0.7728 0.1928  1 N 1.03
H 0.7924 0.7833 0.2336  1 N 1.03
H 0.1419 0.7465 0.9275  1 N 1.02
H 0.7726 0.7755 0.4084  1 N 1.03
H 0.7055 0.7492 0.8227  1 N 1.03
H 0.8532 0.7728 0.6928  1 N 1.03
H 0.8969 0.8298 0.1909  1 N 1.03
H 0.7076 0.7833 0.7336  1 N 1.03
H 0.6112 0.8221 0.2939  1 N 1.03
H 0.7274 0.7755 0.9084  1 N 1.03
H 0.2917 0.8346 0.2341  1 N 1.03
H 0.1194 0.8471 0.2710  1 N 1.03
H 0.6031 0.8298 0.6909  1 N 1.03
H 0.8888 0.8221 0.7939  1 N 1.03
H 0.2083 0.8346 0.7341  1 N 1.03
H 0.8566 0.8942 0.0133  1 N 1.02
H 0.1904 0.8659 0.3723  1 N 1.02
H 0.3806 0.8471 0.7710  1 N 1.03
H 0.8624 0.8774 0.4419  1 N 1.02
H 0.6136 0.9089 0.0326  1 N 1.03
H 0.7947 0.9126 0.3160  1 N 1.03
H 0.6434 0.8942 0.5133  1 N 1.02
H 0.3096 0.8659 0.8723  1 N 1.02
H 0.8277 0.9331 0.3969  1 N 1.03
H 0.6376 0.8774 0.9419  1 N 1.02
H 0.8864 0.9089 0.5326  1 N 1.03
H 0.7053 0.9126 0.8160  1 N 1.03
H 0.3356 0.9405 0.3383  1 N 1.02
H 0.2892 0.9682 0.2605  1 N 1.02
H 0.6723 0.9331 0.8969  1 N 1.03
H 0.6252 0.9823 0.1427  1 N 1.03
H 0.1644 0.9405 0.8383  1 N 1.02
H 0.2383 0.9595 0.4871  1 N 1.03
H 0.2108 0.9682 0.7605  1 N 1.02
H 0.8748 0.9823 0.6427  1 N 1.03
H 0.2617 0.9595 0.9871  1 N 1.03
S 0.7916 0.1709 0.3495  1 Sb 2.45, 2 H 2.57-2.67
S 0.7084 0.1709 0.8495  1 Sb 2.45, 2 H 2.57-2.67
S 0.7731 0.2406 0.4578  1 Sb 2.45, 4 H 2.58-2.71
S 0.7269 0.2406 0.9578  1 Sb 2.45, 4 H 2.58-2.71
S 0.2952 0.4696 0.1142  1 Sb 2.44, 2 H 2.59-2.68
S 0.2048 0.4696 0.6142  1 Sb 2.44, 2 H 2.59-2.68
S 0.7952 0.5304 0.3858  1 Sb 2.44, 2 H 2.59-2.68
S 0.7048 0.5304 0.8858  1 Sb 2.44, 2 H 2.59-2.68
S 0.2731 0.7594 0.0422  1 Sb 2.45, 4 H 2.58-2.71
S 0.2269 0.7594 0.5422  1 Sb 2.45, 4 H 2.58-2.71
S 0.2916 0.8291 0.1505  1 Sb 2.45, 2 H 2.57-2.67
S 0.2084 0.8291 0.6505  1 Sb 2.45, 2 H 2.57-2.67
N 0.7552 0.0435 0.1359  3 H 1.02-1.03
N 0.2623 0.0446 0.4702  3 H 1.02-1.03
N 0.7448 0.0435 0.6359  3 H 1.02-1.03
N 0.2377 0.0446 0.9702  3 H 1.02-1.03
N 0.2607 0.1285 0.0817  3 H 1.02-1.03
N 0.7768 0.1338 0.2375  3 H 1.02-1.03
N 0.2393 0.1285 0.5817  3 H 1.02-1.03
N 0.2723 0.1759 0.1981  3 H 1.03
N 0.7232 0.1338 0.7375  3 H 1.02-1.03
N 0.2277 0.1759 0.6981  3 H 1.03
N 0.2995 0.2404 0.2955  3 H 1.03
N 0.2005 0.2404 0.7955  3 H 1.03
N 0.7834 0.3353 0.0599  3 H 1.02-1.03
N 0.7166 0.3353 0.5599  3 H 1.02-1.03
N 0.2613 0.3927 0.0031  3 H 1.02-1.03
N 0.8010 0.3955 0.1693  3 H 1.03
N 0.2387 0.3927 0.5031  3 H 1.02-1.03
N 0.6990 0.3955 0.6693  3 H 1.03
N 0.8364 0.4709 0.2749  3 H 1.02
N 0.6636 0.4709 0.7749  3 H 1.02
N 0.3364 0.5291 0.2251  3 H 1.02
N 0.1636 0.5291 0.7251  3 H 1.02
N 0.3010 0.6045 0.3307  3 H 1.03
N 0.7613 0.6073 0.4969  3 H 1.02-1.03
N 0.1990 0.6045 0.8307  3 H 1.03
N 0.7387 0.6073 0.9969  3 H 1.02-1.03
N 0.2834 0.6647 0.4401  3 H 1.02-1.03
N 0.2166 0.6647 0.9401  3 H 1.02-1.03
N 0.7995 0.7596 0.2045  3 H 1.03
N 0.7005 0.7596 0.7045  3 H 1.03
N 0.7723 0.8241 0.3019  3 H 1.03
N 0.2768 0.8662 0.2625  3 H 1.02-1.03
N 0.7277 0.8241 0.8019  3 H 1.03
N 0.7607 0.8715 0.4183  3 H 1.02-1.03
N 0.2232 0.8662 0.7625  3 H 1.02-1.03
N 0.7393 0.8715 0.9183  3 H 1.02-1.03
N 0.7623 0.9554 0.0298  3 H 1.02-1.03
N 0.2552 0.9565 0.3641  3 H 1.02-1.03
N 0.7377 0.9554 0.5298  3 H 1.02-1.03
N 0.2448 0.9565 0.8641  3 H 1.02-1.03

Calculated volume, Å³/atom: 11.2
Magnetic moment, μB per cell: 0.00

In order of appearance, calculated total energy = -5.4788 -6.9161 -4.7861 eV per atom.